Entry 1:
Here is a relaxed structure of La3Sn7 from the Materials Project database. Energies are from GGA-PBE.

The structure belongs to space group Cmmm (No. 65); the cell edges are 4.632, 26.191 and 4.733 Å and the angles 90.00°, 90.00° and 90.00°. Symmetry generates all atoms from La at (0.000, 0.000, 0.000), La at (0.000, 0.185, 0.000), Sn at (0.000, 0.096, 0.500), Sn at (0.000, 0.288, 0.500), Sn at (0.000, 0.405, 0.000) and Sn at (0.000, 0.500, 0.500).

For the formation energy, the calculation gives -650.9 meV/atom. The calculation puts the density at 7.22 Mg/m³. Its total energy is -98.8 eV per cell.

=====

Entry 2:
Here is a relaxed structure of La3Sn4 from the Materials Project database. Energies are from GGA-PBE.

The structure belongs to space group Cmcm (No. 63); the cell edges are 4.569, 12.014 and 16.030 Å and the angles 90.00°, 90.00° and 90.00°. Symmetry generates all atoms from La at (0.000, 0.043, 0.250), La at (0.000, 0.328, 0.098), Sn at (0.000, 0.000, 0.000), Sn at (0.000, 0.227, 0.750) and Sn at (0.000, 0.384, 0.607).

For the formation energy, the calculation gives -762.9 meV/atom. The calculation puts the density at 6.73 Mg/m³. Its total energy is -144.7 eV per cell.

=====

Entry 3:
Here is a relaxed structure of La11Sn10 from the Materials Project database. Energies are from GGA-PBE.

The structure belongs to space group I4/mmm (No. 139); the cell edges are 12.209, 12.209 and 18.383 Å and the angles 90.00°, 90.00° and 90.00°. Symmetry generates all atoms from La at (0.000, 0.000, 0.161), La at (0.000, 0.251, 0.310), La at (0.000, 0.323, 0.102), La at (0.178, 0.178, 0.500), Sn at (0.000, 0.000, 0.393), Sn at (0.000, 0.364, 0.500), Sn at (0.000, 0.500, 0.250), Sn at (0.122, 0.122, 0.000) and Sn at (0.210, 0.210, 0.180).

For the formation energy, the calculation gives -784.2 meV/atom. The calculation puts the density at 6.58 Mg/m³. Its total magnetization is 0.45 μB/f.u. Its total energy is -443.4 eV per cell.

=====

Entry 4:
Here is a relaxed structure of LaSn3 from the Materials Project database. Energies are from GGA-PBE.

The structure belongs to space group Pm-3m (No. 221); the cell edges are 4.820, 4.820 and 4.820 Å and the angles 90.00°, 90.00° and 90.00°. Symmetry generates all atoms from La at (0.000, 0.000, 0.000) and Sn at (0.000, 0.500, 0.500).

For the formation energy, the calculation gives -575.0 meV/atom. The calculation puts the density at 7.34 Mg/m³. Its total energy is -19.3 eV per cell.